1.
A plane-wave DFT calculation with GGA-PBE was carried out for a geometry-optimized ReTe2Cl12 structure.

a = 14.166 Å, b = 14.166 Å, c = 14.166 Å
α = 47.93°, β = 47.93°, γ = 47.93°
Element x y z (fractional)
Te: 0.750 0.391 0.106
Te: 0.250 0.609 0.894
Te: 0.391 0.106 0.750
Te: 0.609 0.894 0.250
Te: 0.106 0.750 0.391
Te: 0.894 0.250 0.609
Cl: 0.262 0.609 0.265
Cl: 0.611 0.906 0.616
Cl: 0.038 0.098 0.730
Cl: 0.732 0.442 0.435
Cl: 0.118 0.120 0.410
Cl: 0.391 0.735 0.738
Cl: 0.616 0.611 0.906
Cl: 0.253 0.219 0.897
Cl: 0.270 0.962 0.902
Cl: 0.098 0.730 0.038
Cl: 0.747 0.781 0.103
Cl: 0.906 0.616 0.611
Cl: 0.962 0.902 0.270
Cl: 0.897 0.253 0.219
Cl: 0.565 0.268 0.558
Cl: 0.738 0.391 0.735
Cl: 0.902 0.270 0.962
Cl: 0.590 0.882 0.880
Cl: 0.882 0.880 0.590
Cl: 0.558 0.565 0.268
Cl: 0.219 0.897 0.253
Cl: 0.265 0.262 0.609
Cl: 0.735 0.738 0.391
Cl: 0.094 0.384 0.389
Cl: 0.880 0.590 0.882
Cl: 0.781 0.103 0.747
Cl: 0.103 0.747 0.781
Cl: 0.609 0.265 0.262
Cl: 0.389 0.094 0.384
Cl: 0.384 0.389 0.094
Cl: 0.435 0.732 0.442
Cl: 0.410 0.118 0.120
Cl: 0.268 0.558 0.565
Cl: 0.120 0.410 0.118
Cl: 0.442 0.435 0.732
Cl: 0.730 0.038 0.098
Re: 0.747 0.747 0.747
Re: 0.253 0.253 0.253
Re: 0.500 0.500 0.500

ρ ... 3.0 g/cm³
Formation energy ... -1.097 eV per atom
V ... 31.89 Å³ per atom
Energy above the most stable polymorph in this dataset ... 0.00 eV per formula unit



2.
A plane-wave DFT calculation with GGA-PBE was carried out for a geometry-optimized U4Re7Si6 structure.

a = 7.149 Å, b = 7.149 Å, c = 7.149 Å
α = 109.47°, β = 109.47°, γ = 109.47°
Element x y z (fractional)
Si: 0.690 0.690 0.000
Si: 0.310 0.310 0.000
Si: 0.690 0.000 0.690
Si: 0.000 0.310 0.310
Si: 0.000 0.690 0.690
Si: 0.310 0.000 0.310
U: 0.000 0.000 0.500
U: 0.500 0.500 0.500
U: 0.500 0.000 0.000
U: 0.000 0.500 0.000
Re: 0.500 0.250 0.750
Re: 0.250 0.750 0.500
Re: 0.750 0.500 0.250
Re: 0.000 0.000 0.000
Re: 0.250 0.500 0.750
Re: 0.750 0.250 0.500
Re: 0.500 0.750 0.250

ρ ... 14.3 g/cm³
Formation energy ... -0.449 eV per atom
V ... 16.54 Å³ per atom



3.
A plane-wave DFT calculation with GGA-PBE was carried out for a geometry-optimized CePrO4 structure.

a = 6.807 Å, b = 6.807 Å, c = 6.807 Å
α = 33.88°, β = 33.88°, γ = 33.88°
Element x y z (fractional)
O: 0.881 0.881 0.881
O: 0.119 0.119 0.119
O: 0.631 0.631 0.631
O: 0.369 0.369 0.369
Pr: 0.500 0.500 0.500
Ce: 0.000 0.000 0.000

ρ ... 6.6 g/cm³
Formation energy ... -3.464 eV per atom
V ... 14.56 Å³ per atom



4.
A plane-wave DFT calculation with GGA-PBE was carried out for a geometry-optimized K2BAs2HO8 structure.

a = 7.337 Å, b = 7.337 Å, c = 15.737 Å
α = 90.00°, β = 90.00°, γ = 90.00°
Element x y z (fractional)
O: 0.888 0.998 0.323
O: 0.531 0.272 0.160
O: 0.235 0.030 0.042
O: 0.012 0.901 0.680
O: 0.635 0.790 0.440
O: 0.211 0.366 0.060
O: 0.973 0.767 0.088
O: 0.134 0.711 0.310
O: 0.789 0.634 0.560
O: 0.530 0.265 0.792
O: 0.502 0.388 0.573
O: 0.470 0.735 0.292
O: 0.267 0.527 0.838
O: 0.498 0.612 0.073
O: 0.027 0.233 0.588
O: 0.028 0.236 0.960
O: 0.264 0.528 0.210
O: 0.290 0.865 0.190
O: 0.988 0.099 0.180
O: 0.112 0.002 0.823
O: 0.972 0.764 0.460
O: 0.365 0.210 0.940
O: 0.710 0.135 0.690
O: 0.736 0.472 0.710
O: 0.866 0.289 0.810
O: 0.401 0.488 0.430
O: 0.228 0.031 0.410
O: 0.599 0.512 0.930
O: 0.469 0.728 0.660
O: 0.733 0.473 0.338
O: 0.772 0.969 0.910
O: 0.765 0.970 0.542
As: 0.565 0.606 0.375
As: 0.106 0.935 0.125
As: 0.065 0.889 0.377
As: 0.435 0.394 0.875
As: 0.389 0.435 0.127
As: 0.935 0.111 0.877
As: 0.611 0.565 0.627
As: 0.894 0.065 0.625
H: 0.538 0.563 0.010
H: 0.063 0.962 0.760
H: 0.937 0.038 0.260
H: 0.462 0.437 0.510
B: 0.788 0.791 0.501
B: 0.709 0.288 0.751
B: 0.212 0.209 0.001
B: 0.291 0.712 0.251
K: 0.536 0.120 0.325
K: 0.042 0.383 0.426
K: 0.380 0.036 0.575
K: 0.117 0.542 0.676
K: 0.883 0.458 0.176
K: 0.620 0.964 0.075
K: 0.958 0.617 0.926
K: 0.464 0.880 0.825

ρ ... 2.9 g/cm³
Formation energy ... -2.047 eV per atom
V ... 15.13 Å³ per atom